Entry from the Materials Project: Na2NiPCO7 after structural relaxation (GGA+U).

abc: 5.158 6.604 8.973
angles: 88.97 88.28 89.74
Space group P1 (No. 1)
Unique sites:
Na 0.000 0.000 0.000 (multiplicity 1)
Na 0.000 0.466 0.000 (multiplicity 1)
Na 0.037 0.711 0.351 (multiplicity 1)
Na 0.498 0.965 0.530 (multiplicity 1)
Ni 0.030 0.244 0.606 (multiplicity 1)
Ni 0.474 0.736 0.916 (multiplicity 1)
P 0.529 0.237 0.836 (multiplicity 1)
P 0.965 0.737 0.685 (multiplicity 1)
C 0.540 0.738 0.193 (multiplicity 1)
C 0.961 0.234 0.336 (multiplicity 1)
O 0.027 0.551 0.588 (multiplicity 1)
O 0.035 0.922 0.581 (multiplicity 1)
O 0.108 0.737 0.833 (multiplicity 1)
O 0.188 0.239 0.395 (multiplicity 1)
O 0.314 0.732 0.130 (multiplicity 1)
O 0.380 0.231 0.691 (multiplicity 1)
O 0.463 0.423 0.934 (multiplicity 1)
O 0.467 0.049 0.938 (multiplicity 1)
O 0.559 0.749 0.333 (multiplicity 1)
O 0.668 0.745 0.724 (multiplicity 1)
O 0.741 0.731 0.102 (multiplicity 1)
O 0.772 0.237 0.436 (multiplicity 1)
O 0.829 0.235 0.799 (multiplicity 1)
O 0.930 0.229 0.198 (multiplicity 1)

Output
- Crystal system: triclinic
- Polymorph energy (0 for the lowest one): 15 meV/atom



Entry from the Materials Project: Li9Mn10O20 after structural relaxation (GGA+U).

abc: 5.131 7.957 10.585
angles: 105.64 101.22 105.78
Space group P1 (No. 1)
Unique sites:
Li 0.000 0.000 0.000 (multiplicity 1)
Li 0.003 0.977 0.497 (multiplicity 1)
Li 0.159 0.347 0.491 (multiplicity 1)
Li 0.179 0.356 0.994 (multiplicity 1)
Li 0.410 0.811 0.010 (multiplicity 1)
Li 0.568 0.139 0.501 (multiplicity 1)
Li 0.574 0.162 0.008 (multiplicity 1)
Li 0.781 0.077 0.254 (multiplicity 1)
Li 0.786 0.072 0.739 (multiplicity 1)
Mn 0.200 0.890 0.250 (multiplicity 1)
Mn 0.207 0.892 0.749 (multiplicity 1)
Mn 0.370 0.265 0.252 (multiplicity 1)
Mn 0.374 0.271 0.753 (multiplicity 1)
Mn 0.580 0.685 0.249 (multiplicity 1)
Mn 0.593 0.692 0.748 (multiplicity 1)
Mn 0.778 0.581 0.499 (multiplicity 1)
Mn 0.793 0.586 0.000 (multiplicity 1)
Mn 0.984 0.472 0.251 (multiplicity 1)
Mn 0.991 0.478 0.753 (multiplicity 1)
O 0.004 0.254 0.638 (multiplicity 1)
O 0.009 0.250 0.131 (multiplicity 1)
O 0.180 0.109 0.369 (multiplicity 1)
O 0.185 0.627 0.654 (multiplicity 1)
O 0.193 0.118 0.869 (multiplicity 1)
O 0.207 0.649 0.134 (multiplicity 1)
O 0.354 0.501 0.363 (multiplicity 1)
O 0.364 0.512 0.868 (multiplicity 1)
O 0.392 0.048 0.131 (multiplicity 1)
O 0.392 0.055 0.639 (multiplicity 1)
O 0.571 0.914 0.865 (multiplicity 1)
O 0.572 0.917 0.357 (multiplicity 1)
O 0.624 0.463 0.630 (multiplicity 1)
O 0.626 0.458 0.122 (multiplicity 1)
O 0.761 0.343 0.376 (multiplicity 1)
O 0.789 0.358 0.864 (multiplicity 1)
O 0.810 0.820 0.123 (multiplicity 1)
O 0.827 0.823 0.631 (multiplicity 1)
O 0.934 0.699 0.373 (multiplicity 1)
O 0.959 0.708 0.875 (multiplicity 1)

Output
- Crystal system: triclinic
- E_tot: -0.4887 Ry/atom



Entry from the Materials Project: DyCuW2O8 after structural relaxation (GGA+U).

abc: 5.169 6.076 6.113
angles: 108.76 91.88 114.26
Space group P1 (No. 1)
Unique sites:
Dy 0.000 0.000 0.000 (multiplicity 1)
Cu 0.516 0.007 0.512 (multiplicity 1)
W 0.258 0.490 0.671 (multiplicity 1)
W 0.758 0.514 0.339 (multiplicity 1)
O 0.017 0.250 0.782 (multiplicity 1)
O 0.041 0.697 0.675 (multiplicity 1)
O 0.472 0.300 0.535 (multiplicity 1)
O 0.484 0.261 0.084 (multiplicity 1)
O 0.517 0.736 0.937 (multiplicity 1)
O 0.550 0.708 0.487 (multiplicity 1)
O 0.980 0.748 0.217 (multiplicity 1)
O 0.982 0.314 0.329 (multiplicity 1)

Output
- Crystal system: triclinic
- E_tot: -0.5415 Ry/atom



Entry from the Materials Project: KFeSO4F after structural relaxation (GGA+U).

abc: 14.056 8.706 15.304
angles: 90.00 91.33 90.00
Space group C2/c (No. 15)
Unique sites:
K 0.125 0.121 0.421 (multiplicity 8)
K 0.130 0.368 0.946 (multiplicity 8)
Fe 0.000 0.171 0.750 (multiplicity 4)
Fe 0.000 0.421 0.250 (multiplicity 4)
Fe 0.248 0.371 0.247 (multiplicity 8)
S 0.108 0.123 0.143 (multiplicity 8)
S 0.137 0.372 0.617 (multiplicity 8)
O 0.046 0.014 0.652 (multiplicity 8)
O 0.048 0.262 0.153 (multiplicity 8)
O 0.055 0.374 0.681 (multiplicity 8)
O 0.097 0.365 0.528 (multiplicity 8)
O 0.152 0.122 0.056 (multiplicity 8)
O 0.186 0.122 0.214 (multiplicity 8)
O 0.195 0.486 0.129 (multiplicity 8)
O 0.198 0.236 0.635 (multiplicity 8)
F 0.129 0.161 0.816 (multiplicity 8)
F 0.129 0.414 0.313 (multiplicity 8)

Output
- Crystal system: monoclinic
- E_tot: -0.4370 Ry/atom



Q: What is the formula in the second record?
A: Li9Mn10O20